Entry 1:
A plane-wave DFT calculation with PBE was carried out for a relaxed structure of Nb4Zn2C.

Unit cell a=8.4501 b=8.4501 c=8.4501 alpha=60.00 beta=60.00 gamma=60.00
Element x y z (fractional)
Nb  0.0000  0.0000  0.0000
Nb  0.0000  0.0000  0.5000
Nb  0.0000  0.5000  0.0000
Nb  0.1852  0.1852  0.5648
Nb  0.1852  0.5648  0.1852
Nb  0.1852  0.5648  0.5648
Nb  0.4352  0.4352  0.8148
Nb  0.4352  0.8148  0.4352
Nb  0.4352  0.8148  0.8148
Nb  0.5000  0.0000  0.0000
Nb  0.5648  0.1852  0.1852
Nb  0.5648  0.1852  0.5648
Nb  0.5648  0.5648  0.1852
Nb  0.8148  0.4352  0.4352
Nb  0.8148  0.4352  0.8148
Nb  0.8148  0.8148  0.4352
Zn  0.1429  0.7857  0.7857
Zn  0.2143  0.2143  0.2143
Zn  0.2143  0.2143  0.8571
Zn  0.2143  0.8571  0.2143
Zn  0.7857  0.1429  0.7857
Zn  0.7857  0.7857  0.1429
Zn  0.7857  0.7857  0.7857
Zn  0.8571  0.2143  0.2143
C  0.0000  0.5000  0.5000
C  0.5000  0.0000  0.5000
C  0.5000  0.5000  0.0000
C  0.5000  0.5000  0.5000

ΔH_f (0 K): -1.38 eV/f.u.
crystal system: cubic
magnetic moment: 0.12 μB per formula unit

---

Entry 2:
A plane-wave DFT calculation with PBE was carried out for a relaxed structure of TbB2Ir2.

Unit cell a=8.3012 b=8.2975 c=6.4757 alpha=67.07 beta=67.01 gamma=45.93
Element x y z (fractional)
Tb  0.0000  0.0000  0.0000
Tb  0.0000  0.0000  0.5000
Tb  0.0000  0.5000  0.0000
Tb  0.5000  0.0000  0.0000
B  0.2632  0.2659  0.6293
B  0.2659  0.2632  0.3416
B  0.3416  0.6293  0.2659
B  0.3707  0.6584  0.7368
B  0.6293  0.3416  0.2632
B  0.6584  0.3707  0.7341
B  0.7341  0.7368  0.6584
B  0.7368  0.7341  0.3707
Ir  0.0563  0.6346  0.4053
Ir  0.3654  0.9437  0.5962
Ir  0.4038  0.4053  0.6346
Ir  0.4053  0.4038  0.0563
Ir  0.5947  0.5962  0.9437
Ir  0.5962  0.5947  0.3654
Ir  0.6346  0.0563  0.4038
Ir  0.9437  0.3654  0.5947

ΔH_f (0 K): -2.04 eV/f.u.
crystal system: orthorhombic
magnetic moment: 0.00 μB per formula unit

---

Entry 3:
A plane-wave DFT calculation with PBE was carried out for a relaxed structure of Na2Cu3O4.

Unit cell a=7.1299 b=7.1299 c=7.1299 alpha=156.03 beta=135.72 gamma=50.97
Element x y z (fractional)
Na  0.2025  0.2025  0.0000
Na  0.7975  0.7975  0.0000
Cu  0.0000  0.5000  0.5000
Cu  0.3966  0.8966  0.5000
Cu  0.6034  0.1034  0.5000
O  0.1490  0.3879  0.7612
O  0.3733  0.6121  0.7612
O  0.6267  0.3879  0.2388
O  0.8510  0.6121  0.2388

ΔH_f (0 K): -10.37 eV/f.u.
total energy after the MP2020 corrections: -5.01 eV/atom
crystal system: orthorhombic
magnetic moment: 0.90 μB per formula unit

---

Entry 4:
A plane-wave DFT calculation with PBE was carried out for a relaxed structure of Cr8Co3NiS16.

Unit cell a=6.8989 b=6.8989 c=9.7443 alpha=90.00 beta=90.00 gamma=90.00
Element x y z (fractional)
Cr  0.0000  0.2487  0.3746
Cr  0.0000  0.7513  0.3746
Cr  0.2487  0.0000  0.6254
Cr  0.2489  0.5000  0.1246
Cr  0.5000  0.2489  0.8754
Cr  0.5000  0.7511  0.8754
Cr  0.7513  0.0000  0.6254
Cr  0.7511  0.5000  0.1246
Co  0.0000  0.5000  0.7497
Co  0.5000  0.0000  0.2503
Co  0.5000  0.5000  0.5000
Ni  0.0000  0.0000  0.0000
S  0.0000  0.2410  0.6212
S  0.0000  0.2610  0.1305
S  0.0000  0.7390  0.1305
S  0.0000  0.7590  0.6212
S  0.2396  0.5000  0.3700
S  0.2410  0.0000  0.3788
S  0.2584  0.5000  0.8795
S  0.2610  0.0000  0.8695
S  0.5000  0.2396  0.6300
S  0.5000  0.2584  0.1205
S  0.5000  0.7416  0.1205
S  0.5000  0.7604  0.6300
S  0.7390  0.0000  0.8695
S  0.7416  0.5000  0.8795
S  0.7590  0.0000  0.3788
S  0.7604  0.5000  0.3700

ΔH_f (0 K): -23.82 eV/f.u.
total energy after the MP2020 corrections: -6.94 eV/atom
crystal system: tetragonal
energy above the most stable polymorph in this dataset: 0.5 kJ per mole of atoms
magnetic moment: 24.66 μB per formula unit

---

Entry 5:
A plane-wave DFT calculation with PBE was carried out for a relaxed structure of HoNiGe3.

Unit cell a=10.9753 b=10.9753 c=4.0902 alpha=90.00 beta=90.00 gamma=158.45
Element x y z (fractional)
Ho  0.1688  0.8312  0.0000
Ho  0.8312  0.1688  0.0000
Ni  0.3893  0.6107  0.5000
Ni  0.6107  0.3893  0.5000
Ge  0.0576  0.9424  0.5000
Ge  0.2831  0.7169  0.5000
Ge  0.4425  0.5575  0.0000
Ge  0.5575  0.4425  0.0000
Ge  0.7169  0.2831  0.5000
Ge  0.9424  0.0576  0.5000

ΔH_f (0 K): -2.82 eV/f.u.
crystal system: orthorhombic

---

Entry 6:
A plane-wave DFT calculation with PBE was carried out for a relaxed structure of CaSiO3.

Unit cell a=5.0986 b=5.0986 c=5.0986 alpha=119.93 beta=90.33 gamma=119.69
Element x y z (fractional)
Ca  0.2510  0.0010  0.2500
Ca  0.7490  0.9990  0.7500
Si  0.0000  0.5000  0.5000
Si  0.5000  0.5000  0.0000
O  0.2124  0.4624  0.7500
O  0.2693  0.0000  0.7693
O  0.2693  0.5000  0.2693
O  0.7307  0.0000  0.2307
O  0.7307  0.5000  0.7307
O  0.7876  0.5376  0.2500

ΔH_f (0 K): -16.03 eV/f.u.
total energy after the MP2020 corrections: -7.66 eV/atom
crystal system: orthorhombic
magnetic moment: 0.00 μB per formula unit

---

Entry 7:
A plane-wave DFT calculation with PBE was carried out for a relaxed structure of Mg2NiRh.

Unit cell a=6.1938 b=6.1938 c=6.1938 alpha=90.00 beta=90.00 gamma=90.00
Element x y z (fractional)
Mg  0.2500  0.2500  0.2500
Mg  0.2500  0.2500  0.7500
Mg  0.2500  0.7500  0.2500
Mg  0.2500  0.7500  0.7500
Mg  0.7500  0.2500  0.2500
Mg  0.7500  0.2500  0.7500
Mg  0.7500  0.7500  0.2500
Mg  0.7500  0.7500  0.7500
Ni  0.0000  0.0000  0.0000
Ni  0.0000  0.5000  0.5000
Ni  0.5000  0.0000  0.5000
Ni  0.5000  0.5000  0.0000
Rh  0.0000  0.0000  0.5000
Rh  0.0000  0.5000  0.0000
Rh  0.5000  0.0000  0.0000
Rh  0.5000  0.5000  0.5000

ΔH_f (0 K): -1.39 eV/f.u.
crystal system: cubic

---

Entry 8:
A plane-wave DFT calculation with PBE was carried out for a relaxed structure of MgTi2S4.

Unit cell a=3.5847 b=3.5855 c=19.0806 alpha=84.81 beta=89.54 gamma=60.02
Element x y z (fractional)
Mg  0.0000  0.0000  0.0000
Ti  0.2907  0.4331  0.8372
Ti  0.3836  0.2011  0.2020
S  0.0301  0.9156  0.1244
S  0.6484  0.7090  0.9306
S  0.7349  0.4939  0.2694
S  0.9410  0.1378  0.7750

ΔH_f (0 K): -10.37 eV/f.u.
total energy after the MP2020 corrections: -6.33 eV/atom
crystal system: triclinic
magnetic moment: 2.00 μB per formula unit

---

Entry 9:
A plane-wave DFT calculation with PBE was carried out for a relaxed structure of DyGePd.

Unit cell a=10.4335 b=4.3947 c=7.0292 alpha=90.00 beta=132.08 gamma=90.00
Element x y z (fractional)
Dy  0.0423  0.0000  0.3017
Dy  0.4577  0.5000  0.6983
Dy  0.5423  0.5000  0.3017
Dy  0.9577  0.0000  0.6983
Ge  0.1604  0.5000  0.1082
Ge  0.3396  0.0000  0.8918
Ge  0.6604  0.0000  0.1082
Ge  0.8396  0.5000  0.8918
Pd  0.1780  0.5000  0.7269
Pd  0.3220  0.0000  0.2731
Pd  0.6780  0.0000  0.7269
Pd  0.8220  0.5000  0.2731

ΔH_f (0 K): -2.72 eV/f.u.
crystal system: monoclinic
magnetic moment: 0.00 μB per formula unit

---

Entry 10:
A plane-wave DFT calculation with PBE was carried out for a relaxed structure of AgH8C2S2BrN4.

Unit cell a=6.2160 b=8.5901 c=38.5746 alpha=90.00 beta=92.70 gamma=90.00
Element x y z (fractional)
Ag  0.1215  0.2489  0.3433
Ag  0.1215  0.2511  0.8433
Ag  0.2101  0.6902  0.5917
Ag  0.2101  0.8098  0.0917
Ag  0.7899  0.1902  0.9083
Ag  0.7899  0.3098  0.4083
Ag  0.8785  0.7489  0.1567
Ag  0.8785  0.7511  0.6567
H  0.0024  0.6936  0.4977
H  0.0024  0.8064  0.9977
H  0.0275  0.5240  0.0446
H  0.0275  0.9760  0.5446
H  0.1184  0.5118  0.7738
H  0.1184  0.9882  0.2738
H  0.1472  0.0093  0.7128
H  0.1472  0.4907  0.2128
H  0.1638  0.5747  0.3293
H  0.1638  0.9253  0.8293
H  0.2371  0.5399  0.9653
H  0.2371  0.9601  0.4653
H  0.2449  0.1267  0.1219
H  0.2449  0.3733  0.6219
H  0.2677  0.2311  0.9933
H  0.2677  0.2689  0.4933
H  0.3136  0.7492  0.3249
H  0.3136  0.7508  0.8249
H  0.3542  0.2266  0.6497
H  0.3542  0.2734  0.1497
H  0.3774  0.1783  0.7886
H  0.3774  0.3217  0.2886
H  0.3867  0.5053  0.8773
H  0.3867  0.9947  0.3773
H  0.4217  0.1031  0.7472
H  0.4217  0.3969  0.2472
H  0.4605  0.6564  0.4700
H  0.4605  0.8436  0.9700
H  0.4813  0.5387  0.9203
H  0.4813  0.9613  0.4203
H  0.4911  0.0601  0.0690
H  0.4911  0.4399  0.5690
H  0.5089  0.5601  0.4310
H  0.5089  0.9399  0.9310
H  0.5187  0.0387  0.5797
H  0.5187  0.4613  0.0797
H  0.5395  0.1564  0.0300
H  0.5395  0.3436  0.5300
H  0.5783  0.6031  0.7528
H  0.5783  0.8969  0.2528
H  0.6133  0.0053  0.6227
H  0.6133  0.4947  0.1227
H  0.6226  0.6783  0.7114
H  0.6226  0.8217  0.2114
H  0.6458  0.7266  0.8503
H  0.6458  0.7734  0.3503
H  0.6864  0.2492  0.1751
H  0.6864  0.2508  0.6751
H  0.7323  0.7311  0.5067
H  0.7323  0.7689  0.0067
H  0.7551  0.6267  0.3781
H  0.7551  0.8733  0.8781
H  0.7629  0.0399  0.5347
H  0.7629  0.4601  0.0347
H  0.8362  0.0747  0.1707
H  0.8362  0.4253  0.6707
H  0.8528  0.5093  0.7872
H  0.8528  0.9907  0.2872
H  0.8816  0.0118  0.7262
H  0.8816  0.4882  0.2262
H  0.9725  0.0240  0.4554
H  0.9725  0.4760  0.9554
H  0.9976  0.1936  0.0023
H  0.9976  0.3064  0.5023
C  0.1093  0.0949  0.7619
C  0.1093  0.4051  0.2619
C  0.1595  0.0097  0.4137
C  0.1595  0.4903  0.9137
C  0.2213  0.1249  0.0400
C  0.2213  0.3751  0.5400
C  0.4572  0.5803  0.3555
C  0.4572  0.9197  0.8555
C  0.5428  0.0803  0.1445
C  0.5428  0.4197  0.6445
C  0.7787  0.6249  0.4600
C  0.7787  0.8751  0.9600
C  0.8405  0.5097  0.0863
C  0.8405  0.9903  0.5863
C  0.8907  0.5949  0.7381
C  0.8907  0.9051  0.2381
S  0.0334  0.0560  0.0676
S  0.0334  0.4440  0.5676
S  0.0491  0.5604  0.1160
S  0.0491  0.9396  0.6160
S  0.0723  0.6246  0.7066
S  0.0723  0.8754  0.2066
S  0.4325  0.1000  0.8747
S  0.4325  0.4000  0.3747
S  0.5675  0.6000  0.6253
S  0.5675  0.9000  0.1253
S  0.9277  0.1246  0.7934
S  0.9277  0.3754  0.2934
S  0.9509  0.0604  0.3840
S  0.9509  0.4396  0.8840
S  0.9666  0.5560  0.4324
S  0.9666  0.9440  0.9324
Br  0.3488  0.6752  0.0259
Br  0.3488  0.8248  0.5259
Br  0.4612  0.0093  0.3142
Br  0.4612  0.4907  0.8142
Br  0.5388  0.5093  0.1858
Br  0.5388  0.9907  0.6858
Br  0.6512  0.1752  0.4741
Br  0.6512  0.3248  0.9741
N  0.0399  0.0381  0.7310
N  0.0399  0.4619  0.2310
N  0.1208  0.5055  0.9471
N  0.1208  0.9945  0.4471
N  0.1572  0.1886  0.0097
N  0.1572  0.3114  0.5097
N  0.2963  0.6408  0.3357
N  0.2963  0.8592  0.8357
N  0.3200  0.1244  0.7666
N  0.3200  0.3756  0.2666
N  0.3553  0.5207  0.9028
N  0.3553  0.9793  0.4028
N  0.3629  0.1643  0.1393
N  0.3629  0.3357  0.6393
N  0.4339  0.1220  0.0480
N  0.4339  0.3780  0.5480
N  0.5661  0.6220  0.4520
N  0.5661  0.8780  0.9520
N  0.6371  0.6643  0.3607
N  0.6371  0.8357  0.8607
N  0.6447  0.0207  0.5972
N  0.6447  0.4793  0.0972
N  0.6800  0.6244  0.7334
N  0.6800  0.8756  0.2334
N  0.7037  0.1408  0.1643
N  0.7037  0.3592  0.6643
N  0.8428  0.6886  0.4903
N  0.8428  0.8114  0.9903
N  0.8792  0.0055  0.5529
N  0.8792  0.4945  0.0529
N  0.9601  0.5381  0.7690
N  0.9601  0.9619  0.2690

ΔH_f (0 K): -7.23 eV/f.u.
total energy after the MP2020 corrections: -5.50 eV/atom
crystal system: monoclinic
magnetic moment: 0.00 μB per formula unit

---

Entry 11:
A plane-wave DFT calculation with PBE was carried out for a relaxed structure of Ce2Co5B2.

Unit cell a=5.0918 b=5.0918 c=19.8396 alpha=90.00 beta=90.00 gamma=120.00
Element x y z (fractional)
Ce  0.3333  0.6667  0.0193
Ce  0.3333  0.6667  0.1718
Ce  0.3333  0.6667  0.3282
Ce  0.3333  0.6667  0.4807
Ce  0.6667  0.3333  0.5193
Ce  0.6667  0.3333  0.6718
Ce  0.6667  0.3333  0.8282
Ce  0.6667  0.3333  0.9807
Co  0.0000  0.0000  0.0000
Co  0.0000  0.0000  0.5000
Co  0.1629  0.3257  0.6054
Co  0.1629  0.3257  0.8946
Co  0.1629  0.8371  0.6054
Co  0.1629  0.8371  0.8946
Co  0.1674  0.3348  0.7500
Co  0.1674  0.8326  0.7500
Co  0.3257  0.1629  0.1054
Co  0.3257  0.1629  0.3946
Co  0.3348  0.1674  0.2500
Co  0.6652  0.8326  0.7500
Co  0.6743  0.8371  0.6054
Co  0.6743  0.8371  0.8946
Co  0.8326  0.1674  0.2500
Co  0.8326  0.6652  0.2500
Co  0.8371  0.1629  0.1054
Co  0.8371  0.1629  0.3946
Co  0.8371  0.6743  0.1054
Co  0.8371  0.6743  0.3946
B  0.0000  0.0000  0.1769
B  0.0000  0.0000  0.3231
B  0.0000  0.0000  0.6769
B  0.0000  0.0000  0.8231
B  0.3333  0.6667  0.6747
B  0.3333  0.6667  0.8253
B  0.6667  0.3333  0.1747
B  0.6667  0.3333  0.3253

ΔH_f (0 K): -4.05 eV/f.u.
crystal system: hexagonal
magnetic moment: 0.00 μB per formula unit

---

Entry 12:
A plane-wave DFT calculation with PBE was carried out for a relaxed structure of SnH16Se3N7.

Unit cell a=6.7242 b=9.7008 c=10.0764 alpha=94.77 beta=99.27 gamma=104.27
Element x y z (fractional)
Sn  0.1970  0.1154  0.1260
Sn  0.8030  0.8846  0.8740
H  0.0074  0.6616  0.2985
H  0.0156  0.3277  0.8653
H  0.0182  0.8021  0.5971
H  0.0463  0.4264  0.1340
H  0.1524  0.6280  0.6902
H  0.1650  0.8159  0.4824
H  0.1929  0.5479  0.8747
H  0.2366  0.1616  0.7113
H  0.2808  0.6101  0.5573
H  0.3230  0.6924  0.2101
H  0.3282  0.3852  0.5077
H  0.3615  0.7667  0.6666
H  0.3635  0.4624  0.3725
H  0.4025  0.1757  0.6080
H  0.4393  0.8610  0.1852
H  0.4906  0.2783  0.8925
H  0.5094  0.7217  0.1075
H  0.5607  0.1390  0.8148
H  0.5975  0.8243  0.3920
H  0.6365  0.5376  0.6275
H  0.6385  0.2333  0.3334
H  0.6718  0.6148  0.4923
H  0.6770  0.3076  0.7899
H  0.7192  0.3899  0.4427
H  0.7634  0.8384  0.2887
H  0.8071  0.4521  0.1253
H  0.8350  0.1841  0.5176
H  0.8476  0.3720  0.3098
H  0.9537  0.5736  0.8660
H  0.9818  0.1979  0.4029
H  0.9844  0.6723  0.1347
H  0.9926  0.3384  0.7015
Se  0.2118  0.9284  0.9262
Se  0.3140  0.0394  0.3517
Se  0.3736  0.3641  0.0866
Se  0.6264  0.6359  0.9134
Se  0.6860  0.9606  0.6483
Se  0.7882  0.0716  0.0738
N  0.0474  0.5287  0.8140
N  0.0492  0.6241  0.2118
N  0.0802  0.7420  0.5336
N  0.2290  0.6861  0.6184
N  0.3667  0.2303  0.6898
N  0.3863  0.4830  0.4766
N  0.4677  0.7615  0.1967
N  0.5323  0.2385  0.8033
N  0.6137  0.5170  0.5234
N  0.6333  0.7697  0.3102
N  0.7710  0.3139  0.3816
N  0.9198  0.2580  0.4664
N  0.9508  0.3759  0.7882
N  0.9526  0.4713  0.1860

ΔH_f (0 K): -7.06 eV/f.u.
total energy after the MP2020 corrections: -4.97 eV/atom
crystal system: triclinic
magnetic moment: 0.00 μB per formula unit

---

Computed volume, in the same sequence as the records: 15.24, 14.51, 11.38, 16.56, 18.09, 9.40, 14.85, 30.19, 19.94, 14.29, 12.37, 11.55 Å³ per atom.